(1)
92
Lattice="-7.677 -1.819 6.927 4.077 -3.439 3.615 4.455 14.264 8.683" Properties=species:S:1:pos:R:3 comment="PBE+U LiCr3P4O15, relaxed" magnetic_moment_mub_per_cell=36.0 crystal_system=monoclinic energy_ev_per_cell=-678.58 formation_enthalpy_0k_ev_per_atom=-2.5742 space_group=Pc pbc="T T T"
O 1.465 3.307 11.302
O 0.880 7.659 13.384
O 1.636 11.995 11.006
O 4.163 11.510 8.615
O 0.973 8.373 15.839
O -5.036 1.406 8.275
O -0.349 12.135 12.663
O -1.074 -1.990 4.624
O 3.190 2.294 7.488
O -2.742 8.902 13.059
O 5.737 12.697 10.144
O 0.947 1.510 9.562
O -4.797 2.783 10.348
O 1.359 3.566 6.363
O -3.545 2.151 6.562
O 3.539 13.761 9.588
O 0.061 -3.629 6.217
O 4.390 8.303 9.323
O 2.980 7.719 11.161
O 1.348 5.693 11.924
O 3.363 10.180 10.695
O 1.952 -1.142 3.805
O 4.478 5.365 10.407
O -0.737 5.439 6.662
O 0.065 -1.215 6.730
O -0.409 4.771 10.376
O -2.438 4.426 8.330
O -2.092 -2.577 6.933
O -1.116 7.359 14.660
O 3.329 8.678 13.764
O -2.272 11.727 14.691
O 2.454 1.601 5.088
O -1.532 -2.663 9.479
O -1.623 4.615 13.383
O -5.837 -0.977 9.170
O -1.349 2.994 5.007
O -1.427 7.054 11.768
O 1.008 1.085 6.917
O 2.611 -1.364 6.252
O 4.013 5.747 7.850
O -1.297 0.101 8.670
O -3.317 -0.128 9.925
O 0.630 3.097 3.664
O 4.051 7.970 6.600
O 0.748 4.799 14.284
O 0.583 9.733 9.189
O 1.660 7.492 8.526
O -4.064 -2.771 8.787
O -4.385 5.279 10.386
O -1.283 9.614 11.299
O -0.307 9.775 14.218
O -1.249 0.685 11.217
O -2.397 2.211 9.541
O 5.287 8.838 11.670
O -0.238 0.732 4.344
O -3.732 3.849 12.337
O 2.528 9.802 7.801
O -3.691 -0.380 7.003
O 1.456 6.006 4.975
O 2.039 5.006 9.558
P 1.875 1.878 10.725
P 4.643 12.969 8.977
P -0.862 -2.303 6.059
P 1.040 4.752 10.694
P 4.294 9.055 14.894
P 2.034 2.223 6.500
P 4.058 8.848 10.793
P 2.200 -0.650 2.395
P -0.618 2.133 3.879
P 0.118 8.373 14.580
P 1.267 8.862 8.037
P -4.483 0.896 6.874
P -2.204 8.361 11.662
P -4.850 4.115 11.192
P -2.013 0.805 9.920
P -3.126 4.692 13.553
Li 3.963 3.936 8.798
Li -2.688 -4.244 8.447
Li -1.298 -0.984 2.983
Li -2.232 5.399 10.178
Cr 2.739 6.988 13.003
Cr 0.117 4.501 5.137
Cr -5.198 0.635 10.123
Cr -3.879 3.042 8.481
Cr -0.305 6.050 13.147
Cr 4.518 9.542 7.708
Cr -2.704 -1.396 8.395
Cr 2.232 11.095 9.319
Cr 1.269 -0.181 5.375
Cr 3.192 6.605 9.426
Cr 0.682 -0.104 8.507
Cr -1.641 10.688 13.075

***

(2)
14
Lattice="4.533 0.372 2.020 3.345 3.441 -2.250 -2.072 4.677 3.961" Properties=species:S:1:pos:R:3 comment="PBE+U LiCrPO4, relaxed" magnetic_moment_mub_per_cell=8.0 crystal_system=triclinic energy_ev_per_cell=-98.76 formation_enthalpy_0k_ev_per_atom=-2.4796 space_group=P1 de_polymorph_ev_per_atom=0.087 pbc="T T T"
O 3.606 5.246 1.573
O 2.386 3.700 -0.404
O 0.991 3.126 1.597
O 3.132 4.809 3.999
O 2.761 7.121 3.106
O 3.415 2.391 1.650
O 1.827 1.293 0.019
O 5.156 6.329 3.249
Cr 4.504 0.388 1.998
Cr 3.470 2.744 4.012
Li 4.678 3.692 0.790
Li 0.987 4.792 2.843
P 3.669 5.907 2.944
P 2.152 2.594 0.751

***

(3)
84
Lattice="7.445 0.000 0.000 0.000 8.515 0.000 0.000 8.002 14.886" Properties=species:S:1:pos:R:3 comment="PBE+U LiCrPO4, relaxed" magnetic_moment_mub_per_cell=48.0 crystal_system=monoclinic energy_ev_per_cell=-595.26 formation_enthalpy_0k_ev_per_atom=-2.5122 space_group=P2_1/c de_polymorph_ev_per_atom=0.054 pbc="T T T"
O 0.776 8.069 5.482
O 1.728 9.128 7.644
O 4.499 4.448 1.961
O 1.834 3.488 3.329
O 7.133 7.719 2.649
O 2.090 9.403 2.734
O 2.805 5.925 8.171
O 6.669 8.449 9.403
O 0.312 8.799 12.237
O 1.889 7.489 10.771
O 4.074 15.143 14.267
O 1.633 13.404 10.177
O 2.061 6.006 2.995
O 1.583 14.176 12.825
O 4.198 8.563 8.923
O 3.410 4.798 4.794
O 0.476 11.956 13.406
O 5.384 10.512 11.891
O 5.784 6.511 4.448
O 6.527 14.594 14.158
O 1.669 7.999 0.635
O 4.035 11.720 10.091
O 6.500 11.520 9.764
O 5.556 9.028 4.114
O 5.776 8.518 14.250
O 5.391 4.517 6.808
O 0.945 4.998 5.121
O 5.812 3.114 4.708
O 3.371 1.374 0.619
O 7.094 11.142 6.824
O 1.995 5.127 0.201
O 2.946 12.070 12.925
O 4.640 10.593 6.715
O 2.778 8.999 12.564
O 0.918 1.924 0.728
O 5.305 6.342 9.503
O 2.054 12.000 8.078
O 3.247 7.955 5.963
O 5.355 7.115 12.151
O 2.140 10.175 5.383
O 6.969 4.562 1.480
O 0.351 5.375 8.061
O 5.717 7.390 7.241
O 4.667 7.519 2.321
O 5.611 13.029 11.557
O 5.450 11.391 14.684
O 5.862 2.341 2.060
O 1.661 10.007 10.437
Li 6.141 12.813 13.467
Li 6.048 8.795 11.295
Li 6.064 4.718 8.650
Li 1.304 3.705 1.419
Li 2.419 7.706 8.862
Li 2.326 11.724 11.033
Li 5.026 8.812 6.024
Li 5.103 0.717 1.207
Li 1.381 11.800 6.236
Li 1.397 7.723 3.590
Li 2.342 15.801 13.679
Li 5.119 4.793 3.852
P 5.392 11.654 10.842
P 1.995 0.920 1.153
P 2.053 4.864 4.043
P 5.480 7.698 8.777
P 1.758 12.821 13.551
P 5.775 7.653 3.399
P 5.718 11.597 6.290
P 1.965 8.820 6.108
P 1.670 8.865 11.486
P 1.727 4.921 8.596
P 5.450 15.598 13.733
P 5.687 3.697 1.334
Cr 3.594 10.516 3.742
Cr 0.129 14.517 11.185
Cr 7.098 10.077 13.801
Cr 7.316 2.000 3.701
Cr 3.963 10.266 13.652
Cr 0.347 6.441 1.084
Cr 7.205 6.265 6.209
Cr 3.375 10.442 8.527
Cr 0.240 10.252 8.677
Cr 3.482 6.251 1.234
Cr 4.070 6.076 6.359
Cr 3.851 6.002 11.144

***

(4)
13
Lattice="-4.590 1.292 0.975 1.207 -4.710 -0.226 1.554 0.051 7.252" Properties=species:S:1:pos:R:3 comment="PBE+U Li2CrP2O8, relaxed" magnetic_moment_mub_per_cell=2.0 crystal_system=trigonal energy_ev_per_cell=-89.22 formation_enthalpy_0k_ev_per_atom=-2.5255 space_group=P-3 de_polymorph_ev_per_atom=0.002 pbc="T T T"
O -2.543 -0.705 1.110
O -0.798 -3.643 5.166
O 0.714 -2.662 6.891
O -3.488 -0.207 3.365
O 1.659 -3.159 4.636
O -1.846 -2.142 3.027
O 0.018 -1.225 4.974
O -1.031 0.276 2.835
P -2.227 -0.695 2.585
P 0.398 -2.672 5.417
Cr 0.777 0.026 3.626
Li -1.386 -0.667 6.510
Li -0.443 -2.700 1.492

***

(5)
44
Lattice="5.012 0.000 0.000 0.000 8.377 0.000 0.000 2.537 11.917" Properties=species:S:1:pos:R:3 comment="PBE+U LiCrP2O7, relaxed" magnetic_moment_mub_per_cell=12.0 crystal_system=monoclinic energy_ev_per_cell=-317.37 formation_enthalpy_0k_ev_per_atom=-2.6477 space_group=P2_1/c de_polymorph_ev_per_atom=0.027 pbc="T T T"
P 3.679 5.159 1.382
P 3.803 10.328 10.223
P 3.716 4.871 4.265
P 1.297 6.043 7.652
P 1.333 5.755 10.535
P 1.210 0.586 1.694
P 3.839 2.239 7.340
P 1.173 8.675 4.577
O 2.841 5.701 10.844
O 0.804 7.206 10.472
O 4.798 1.168 1.870
O 2.779 9.154 10.259
O 3.949 5.693 2.885
O 2.291 4.289 4.089
O 1.443 8.141 3.073
O 4.493 6.080 0.508
O 1.702 1.749 4.514
O 1.064 5.221 9.032
O 2.721 6.625 7.828
O 1.413 7.963 0.602
O 0.335 2.293 7.031
O 2.172 5.213 1.073
O 1.093 5.043 6.560
O 1.987 7.754 5.450
O 2.234 1.760 1.658
O 4.208 3.708 1.445
O 3.026 3.160 6.467
O 0.272 7.217 7.617
O 3.600 2.951 11.315
O 3.570 2.773 8.843
O 4.740 3.697 4.300
O 0.520 4.834 11.409
O 3.919 5.871 5.357
O 0.215 9.746 10.047
O 3.311 9.166 7.403
O 4.678 8.621 4.886
Li 3.665 1.800 3.558
Li 1.347 9.114 8.359
Li 3.853 7.258 9.516
Li 1.159 3.657 2.401
Cr 3.706 7.528 6.339
Cr 3.813 2.071 0.381
Cr 1.200 8.843 11.536
Cr 1.306 3.386 5.578

***

(6)
22
Lattice="-6.323 0.000 0.000 -0.857 -6.286 0.000 -2.696 -0.185 6.279" Properties=species:S:1:pos:R:3 comment="PBE+U LiCrP2O7, relaxed" magnetic_moment_mub_per_cell=6.0 crystal_system=triclinic energy_ev_per_cell=-158.75 formation_enthalpy_0k_ev_per_atom=-2.6508 space_group=P-1 de_polymorph_ev_per_atom=0.024 pbc="T T T"
P -6.393 -3.930 4.067
P -3.548 -0.964 4.807
P -3.483 -2.542 2.212
P -6.327 -5.507 1.472
O -6.034 -5.069 2.975
O -5.045 -5.997 0.882
O -6.668 -2.630 3.296
O -5.180 -3.869 4.984
O -2.271 -2.020 1.436
O -6.602 -0.275 1.536
O -6.897 -4.222 0.748
O -4.695 -2.602 1.295
O -4.830 -0.475 5.397
O -7.604 -4.451 4.843
O -3.208 -3.841 2.983
O -3.841 -1.402 3.304
O -3.273 -6.196 4.743
O -2.979 -2.250 5.531
Li -3.143 -6.288 1.057
Li -6.732 -0.184 5.222
Cr -6.628 -2.290 1.356
Cr -3.248 -4.181 4.923

***

(7)
84
Lattice="-1.106 -6.291 1.661 6.759 0.562 6.627 -4.553 5.424 17.512" Properties=species:S:1:pos:R:3 comment="PBE+U LiCrPO4, relaxed" magnetic_moment_mub_per_cell=48.0 crystal_system=monoclinic energy_ev_per_cell=-596.48 formation_enthalpy_0k_ev_per_atom=-2.5267 space_group=P2_1/c de_polymorph_ev_per_atom=0.040 pbc="T T T"
O -0.913 -2.379 15.167
O -2.036 4.236 16.463
O -0.784 4.165 21.842
O -0.163 -0.770 8.313
O -2.283 -2.127 9.740
O 3.683 0.807 12.113
O 0.698 2.220 23.456
O -2.184 2.453 14.626
O 0.276 1.611 7.717
O 2.895 -0.576 14.609
O 3.284 -2.758 11.174
O 0.402 -2.525 2.344
O -2.433 1.865 17.122
O -1.016 -0.177 18.499
O 0.886 -0.136 1.827
O 2.546 -2.931 15.344
O -0.395 -1.774 12.719
O -1.446 2.626 10.456
O -1.795 0.271 11.191
O 1.795 -2.635 5.763
O 1.276 -2.803 9.721
O 0.824 -1.916 18.083
O -0.311 -3.847 4.938
O 5.463 -0.160 9.663
O -0.443 -0.004 14.578
O -2.583 -1.112 13.687
O -4.589 0.416 18.540
O 0.214 -0.169 23.973
O 1.411 3.543 20.862
O -0.330 4.704 19.372
O 1.495 1.470 13.081
O -0.176 2.498 16.079
O 5.689 -0.721 7.260
O 1.263 0.465 17.487
O 3.192 2.589 18.409
O 3.383 1.822 16.060
O 3.136 -4.541 9.337
O -4.363 -0.145 16.137
O 1.543 -0.301 11.222
O 2.013 2.074 10.633
O 0.113 -0.147 5.841
O -2.092 -2.893 7.391
O 2.116 -0.128 7.301
O 0.987 -0.158 19.959
O 1.430 -5.009 6.427
O -0.695 2.331 20.037
O 3.533 -2.169 8.678
O 1.884 -4.469 3.958
Li -1.519 -0.820 4.968
Li -3.582 3.106 13.403
Li 3.092 -5.291 7.488
Li -0.204 -0.510 10.291
Li -1.992 4.986 18.311
Li 1.304 0.205 15.509
Li -2.461 2.141 19.110
Li 3.561 -2.446 6.690
Li 4.682 -3.410 12.397
Li 2.619 0.515 20.832
Li 0.329 2.348 9.583
Li 0.771 -2.653 16.216
P 1.209 -3.988 5.280
P -1.075 -1.318 14.046
P 0.514 -0.451 18.494
P 2.175 1.013 11.753
P 2.808 -3.070 9.714
P -0.109 3.684 20.520
P -2.534 1.550 10.709
P -1.708 2.765 16.086
P -0.260 -1.176 1.957
P 3.634 -1.855 15.091
P 0.586 0.146 7.305
P 1.360 0.872 23.843
Cr -0.303 -2.866 8.460
Cr 1.904 -0.716 4.921
Cr 3.692 -0.078 8.565
Cr -0.339 -4.399 2.929
Cr -2.603 -1.616 11.666
Cr 1.439 4.094 22.871
Cr -0.389 1.905 13.701
Cr 3.703 1.311 14.133
Cr -2.592 -0.226 17.235
Cr -0.804 0.411 20.879
Cr 1.489 -2.210 12.099
Cr 1.403 2.561 17.340